The following is a PBE+U calculation of a geometry-optimized LiV3OF11 structure, from the Materials Project database.

Cell: 7.0224 6.0022 5.5110 Å, 93.26 103.24 93.06°
Sites, in units of the cell vectors:
F1 0.9198 0.0276 0.7098
V1 0.3952 0.6310 0.8513
F2 0.7923 0.5455 0.3120
F3 0.5748 0.1831 0.3957
V2 0.6011 0.3392 0.1499
Li1 0.7017 0.9463 0.4396
F4 0.0186 0.9560 0.2851
F5 0.6486 0.4833 0.8600
F6 0.1387 0.7766 0.9116
V3 0.0267 0.0134 0.9947
F7 0.4802 0.7551 0.5922
F8 0.1736 0.4419 0.6998
F9 0.6402 0.8440 0.0118
O1 0.3447 0.1584 0.0036
F10 0.3495 0.5221 0.1410
F11 0.8909 0.2384 0.0741

Properties
crystal system = triclinic
space-group type = P1
ΔE to the lowest computed polymorph = 8.30 eV/f.u.



The following is a PBE+U calculation of a geometry-optimized MoO2 structure, from the Materials Project database.

Cell: 6.4937 6.4188 6.2362 Å, 61.73 60.52 57.75°
Sites, in units of the cell vectors:
O1 0.3147 0.8864 0.8938
O2 0.8938 0.9051 0.3147
Mo1 0.1250 0.1250 0.1250
Mo2 0.6250 0.1250 0.1250
O3 0.3562 0.3449 0.9353
O4 0.9051 0.8938 0.8864
O5 0.8864 0.3147 0.9051
O6 0.9353 0.3636 0.3562
O7 0.3449 0.3562 0.3636
Mo3 0.1250 0.6250 0.1250
Mo4 0.1250 0.1250 0.6250
O8 0.3636 0.9353 0.3449

Properties
crystal system = orthorhombic
total energy = -7.181 eV per atom
space-group type = Fddd



Results for total magnetization: 3.0 8.0 (in μB per cell, following the order of the records).